Computed, not measured: an optimized crystal structure of LiFe4B4O12 at the PBE+U level of DFT.

a b c (Å): 5.2321 9.1221 10.1442
angles (deg): 89.79 89.69 88.99
With the nearest neighbours (Å) after each atom.
Positions (direct):
Li (0.1850, 0.1683, 0.1526)  4 O 2.05-2.14
Li (0.6527, 0.6761, 0.6524)  3 O 1.91-2.07
Fe (0.1462, 0.8504, 0.6266)  4 O 1.96-2.15
Fe (0.1698, 0.5136, 0.1285)  5 O 1.94-2.05
Fe (0.3267, 0.0002, 0.8782)  4 O 1.89-2.03
Fe (0.3312, 0.6679, 0.3768)  4 O 1.87-2.09
Fe (0.6701, 0.3304, 0.6288)  5 O 1.88-2.08
Fe (0.6874, 0.9795, 0.1272)  2 O 1.92-2.08
Fe (0.8238, 0.1579, 0.3784)  5 O 1.89-2.08
Fe (0.8362, 0.4913, 0.8795)  4 O 1.88-2.02
B (0.1721, 0.5031, 0.6267)  3 O 1.35-1.43
B (0.1728, 0.8274, 0.1264)  3 O 1.33-1.45
B (0.3350, 0.9964, 0.3699)  3 O 1.37-1.39
B (0.3290, 0.6673, 0.8739)  3 O 1.37-1.41
B (0.6424, 0.9994, 0.6295)  3 O 1.35-1.42
B (0.6706, 0.3318, 0.1303)  3 O 1.37-1.41
B (0.8381, 0.4989, 0.3812)  3 O 1.34-1.41
B (0.8287, 0.1669, 0.8812)  3 O 1.35-1.42
O (0.0843, 0.5112, 0.3256)  1 B 1.41
O (0.0852, 0.1552, 0.8936)  1 B 1.35
O (0.2215, 0.7999, 0.8395)  1 B 1.37
O (0.2433, 0.8667, 0.4211)  1 B 1.38
O (0.1743, 0.1142, 0.3488)  1 B 1.37
O (0.1741, 0.5594, 0.9320)  1 B 1.41
O (0.3209, 0.3810, 0.6352)  1 B 1.35
O (0.3014, 0.9543, 0.0862)  1 B 1.41
O (0.2691, 0.6344, 0.5781)  1 B 1.40
O (0.3238, 0.7031, 0.1721)  1 B 1.45
O (0.4098, 0.3487, 0.1362)  1 B 1.37
O (0.3973, 0.0123, 0.6814)  1 B 1.39
O (0.5915, 0.0049, 0.3366)  1 B 1.39
O (0.5798, 0.6343, 0.8464)  1 B 1.37
O (0.7214, 0.2971, 0.8253)  1 B 1.42
O (0.7671, 0.3631, 0.4341)  1 B 1.40
O (0.6783, 0.6158, 0.3870)  1 B 1.34
O (0.6656, 0.0609, 0.9260)  1 B 1.38
O (0.8237, 0.4414, 0.0733)  1 B 1.41
O (0.7731, 0.8702, 0.6270)  1 B 1.35
O (0.7542, 0.1284, 0.5771)  1 B 1.42
O (0.7990, 0.2082, 0.1785)  1 B 1.39
O (0.9199, 0.8138, 0.1247)  1 B 1.33
O (0.9117, 0.5030, 0.6701)  1 B 1.43

Output
**Energy relative to the lowest polymorph listed for this composition**: 9 meV per atom
**Space group**: P1, No. 1

Computed, not measured: an optimized crystal structure of CoTeO4 at the PBE+U level of DFT.

a b c (Å): 3.0915 6.0419 8.7867
angles (deg): 93.22 90.01 90.01
With the nearest neighbours (Å) after each atom.
Positions (direct):
Co (0.5000, 0.2500, 0.2500)  6 O 2.07-2.26
Co (0.5000, 0.7500, 0.7500)  6 O 2.07-2.26
Te (0.0000, 0.0000, 0.5000)  6 O 1.91-2.04
Te (0.0000, 0.5000, 0.0000)  6 O 1.91-2.04
O (0.0001, 0.4683, 0.2150)  1 Te 1.91, 2 Co 2.07
O (0.0001, 0.9683, 0.7150)  1 Te 1.91, 2 Co 2.07
O (0.9999, 0.0317, 0.2850)  1 Te 1.91, 2 Co 2.07
O (0.9999, 0.5317, 0.7850)  1 Te 1.91, 2 Co 2.07
O (0.5001, 0.2198, 0.5055)  2 Te 2.04, 1 Co 2.26
O (0.5001, 0.7198, 0.0055)  2 Te 2.04, 1 Co 2.26
O (0.4999, 0.2802, 0.9945)  2 Te 2.04, 1 Co 2.26
O (0.4999, 0.7802, 0.4945)  2 Te 2.04, 1 Co 2.26

Output
**Energy relative to the lowest polymorph listed for this composition**: 95 meV per atom

Computed, not measured: an optimized crystal structure of Ba2TlCo2O7 at the PBE+U level of DFT.

a b c (Å): 3.7036 3.7097 13.6936
angles (deg): 90.00 90.00 90.00
With the nearest neighbours (Å) after each atom.
Positions (direct):
Ba (0.0000, 0.5000, 0.2946)  9 O 2.70-2.89
Ba (0.0000, 0.5000, 0.7037)  9 O 2.71-2.98
Tl (0.5000, 0.0000, 0.4993)  2 O 2.13
Co (0.5000, 0.0000, 0.1244)  4 O 1.86
Co (0.5000, 0.0000, 0.8785)  4 O 1.85-1.87
O (0.0000, 0.5000, 0.4994)  4 Tl 2.62, 2 Ba 2.80
O (0.0000, 0.0000, 0.1324)  2 Co 1.86
O (0.5000, 0.5000, 0.1323)  2 Co 1.86
O (0.0000, 0.0000, 0.8744)  2 Co 1.85
O (0.5000, 0.5000, 0.8630)  2 Co 1.87
O (0.5000, 0.0000, 0.3434)  1 Tl 2.13
O (0.5000, 0.0000, 0.6547)  1 Tl 2.13

Output
**Total energy**: -66.37 eV/cell
**Space group**: Pmm2, No. 25

Computed, not measured: an optimized crystal structure of Li6V2C4SO16 at the PBE+U level of DFT.

a b c (Å): 9.4705 9.4705 9.4705
angles (deg): 60.00 60.00 60.00
With the nearest neighbours (Å) after each atom.
Positions (direct):
Li (0.7174, 0.7174, 0.2826)  4 O 2.12-2.25
Li (0.2826, 0.7174, 0.7174)  4 O 2.12-2.25
Li (0.7174, 0.2826, 0.7174)  4 O 2.12-2.25
Li (0.2826, 0.7174, 0.2826)  4 O 2.12-2.25
Li (0.5326, 0.9674, 0.9674)  4 O 2.12-2.25
Li (0.9674, 0.9674, 0.5326)  4 O 2.12-2.25
Li (0.7174, 0.2826, 0.2826)  4 O 2.12-2.25
Li (0.2826, 0.2826, 0.7174)  4 O 2.12-2.25
Li (0.5326, 0.9674, 0.5326)  4 O 2.12-2.25
Li (0.9674, 0.5326, 0.9674)  4 O 2.12-2.25
Li (0.5326, 0.5326, 0.9674)  4 O 2.12-2.25
Li (0.9674, 0.5326, 0.5326)  4 O 2.12-2.25
V (0.1250, 0.6250, 0.1250)  6 O 2.17
V (0.1250, 0.1250, 0.6250)  6 O 2.17
V (0.6250, 0.1250, 0.1250)  6 O 2.17
V (0.1250, 0.1250, 0.1250)  6 O 2.17
C (0.8999, 0.8999, 0.8999)  3 O 1.30
C (0.8999, 0.8999, 0.3002)  3 O 1.30
C (0.3002, 0.8999, 0.8999)  3 O 1.30
C (0.8999, 0.3002, 0.8999)  3 O 1.30
C (0.3501, 0.9498, 0.3501)  3 O 1.30
C (0.3501, 0.3501, 0.9498)  3 O 1.30
C (0.9498, 0.3501, 0.3501)  3 O 1.30
C (0.3501, 0.3501, 0.3501)  3 O 1.30
S (0.7500, 0.7500, 0.7500)  4 O 1.50
S (0.5000, 0.5000, 0.5000)  4 O 1.50
O (0.6855, 0.6855, 0.6855)  1 S 1.50
O (0.6855, 0.6855, 0.9435)  1 S 1.50
O (0.9435, 0.6855, 0.6855)  1 S 1.50
O (0.6855, 0.9435, 0.6855)  1 S 1.50
O (0.9073, 0.7590, 0.0327)  1 C 1.30
O (0.0327, 0.9073, 0.7590)  1 C 1.30
O (0.3009, 0.7590, 0.9073)  1 C 1.30
O (0.7590, 0.0327, 0.9073)  1 C 1.30
O (0.0327, 0.7590, 0.3009)  1 C 1.30
O (0.7590, 0.9073, 0.3009)  1 C 1.30
O (0.3009, 0.0327, 0.7590)  1 C 1.30
O (0.3009, 0.9073, 0.0327)  1 C 1.30
O (0.9073, 0.3009, 0.7590)  1 C 1.30
O (0.9073, 0.0327, 0.3009)  1 C 1.30
O (0.7590, 0.3009, 0.0327)  1 C 1.30
O (0.2173, 0.9491, 0.3427)  1 C 1.30
O (0.0327, 0.3009, 0.9073)  1 C 1.30
O (0.4910, 0.9491, 0.2173)  1 C 1.30
O (0.3427, 0.2173, 0.9491)  1 C 1.30
O (0.3427, 0.9491, 0.4910)  1 C 1.30
O (0.9491, 0.3427, 0.2173)  1 C 1.30
O (0.9491, 0.2173, 0.4910)  1 C 1.30
O (0.4910, 0.3427, 0.9491)  1 C 1.30
O (0.2173, 0.4910, 0.9491)  1 C 1.30
O (0.4910, 0.2173, 0.3427)  1 C 1.30
O (0.9491, 0.4910, 0.3427)  1 C 1.30
O (0.2173, 0.3427, 0.4910)  1 C 1.30
O (0.3427, 0.4910, 0.2173)  1 C 1.30
O (0.5645, 0.3065, 0.5645)  1 S 1.50
O (0.5645, 0.5645, 0.3065)  1 S 1.50
O (0.3065, 0.5645, 0.5645)  1 S 1.50
O (0.5645, 0.5645, 0.5645)  1 S 1.50

Output
**Total energy**: -395.50 eV/cell
**Space group**: Fd-3, No. 203

Computed, not measured: an optimized crystal structure of Li4Y3CrO8 at the PBE+U level of DFT.

a b c (Å): 5.8799 5.8799 24.7410
angles (deg): 90.00 90.00 63.31
With the nearest neighbours (Å) after each atom.
Positions (direct):
Li (0.0000, 0.0000, 0.1250)  4 O 2.22
Li (0.0000, 0.0000, 0.3750)  4 O 2.22
Li (0.0000, 0.0000, 0.6250)  4 O 2.22
Li (0.0000, 0.0000, 0.8750)  4 O 2.22
Li (0.5000, 0.5000, 0.0000)  4 O 2.17
Li (0.5000, 0.5000, 0.2500)  4 O 2.17
Li (0.5000, 0.5000, 0.5000)  4 O 2.17
Li (0.5000, 0.5000, 0.7500)  4 O 2.17
Li (0.5000, 0.0000, 0.1867)  4 O 2.18-2.24
Li (0.5000, 0.0000, 0.4367)  4 O 2.18-2.24
Li (0.5000, 0.0000, 0.6867)  4 O 2.18-2.24
Li (0.5000, 0.0000, 0.9367)  4 O 2.18-2.24
Li (0.0000, 0.5000, 0.0633)  4 O 2.18-2.24
Li (0.0000, 0.5000, 0.3133)  4 O 2.18-2.24
Li (0.0000, 0.5000, 0.5633)  4 O 2.18-2.24
Li (0.0000, 0.5000, 0.8133)  4 O 2.18-2.24
Y (0.5000, 0.5000, 0.1250)  6 O 2.25-2.28
Y (0.5000, 0.5000, 0.3750)  6 O 2.25-2.28
Y (0.5000, 0.5000, 0.6250)  6 O 2.25-2.28
Y (0.5000, 0.5000, 0.8750)  6 O 2.25-2.28
Y (0.0000, 0.5000, 0.1896)  6 O 2.19-2.36
Y (0.0000, 0.5000, 0.4396)  6 O 2.19-2.36
Y (0.0000, 0.5000, 0.6896)  6 O 2.19-2.36
Y (0.0000, 0.5000, 0.9396)  6 O 2.19-2.36
Y (0.5000, 0.0000, 0.0604)  6 O 2.19-2.36
Y (0.5000, 0.0000, 0.3104)  6 O 2.19-2.36
Y (0.5000, 0.0000, 0.5604)  6 O 2.19-2.36
Y (0.5000, 0.0000, 0.8104)  6 O 2.19-2.36
Cr (0.0000, 0.0000, 0.7500)  6 O 2.07-2.10
Cr (0.0000, 0.0000, 0.0000)  6 O 2.07-2.10
Cr (0.0000, 0.0000, 0.2500)  6 O 2.07-2.10
Cr (0.0000, 0.0000, 0.5000)  6 O 2.07-2.10
O (0.7251, 0.7252, 0.1250)  2 Li 2.18-2.19, 3 Y 2.23-2.25
O (0.7250, 0.7252, 0.3750)  2 Li 2.18-2.19, 3 Y 2.23-2.25
O (0.7250, 0.7252, 0.6250)  2 Li 2.18-2.19, 3 Y 2.23-2.25
O (0.7250, 0.7252, 0.8750)  2 Li 2.18-2.19, 3 Y 2.23-2.25
O (0.2748, 0.2750, 0.1250)  2 Li 2.18-2.19, 3 Y 2.23-2.25
O (0.2748, 0.2750, 0.3750)  2 Li 2.18-2.19, 3 Y 2.23-2.25
O (0.2748, 0.2749, 0.6250)  2 Li 2.18-2.19, 3 Y 2.23-2.25
O (0.2748, 0.2750, 0.8750)  2 Li 2.18-2.19, 3 Y 2.23-2.25
O (0.2067, 0.2066, 0.2500)  1 Cr 2.07, 2 Y 2.19, 2 Li 2.24
O (0.2067, 0.2067, 0.5000)  1 Cr 2.07, 2 Y 2.19, 2 Li 2.24
O (0.2067, 0.2066, 0.7500)  1 Cr 2.07, 2 Y 2.19, 2 Li 2.24
O (0.2067, 0.2066, 0.0000)  1 Cr 2.07, 2 Y 2.19, 2 Li 2.24
O (0.7933, 0.7933, 0.0000)  1 Cr 2.07, 2 Y 2.19, 2 Li 2.24
O (0.7933, 0.7933, 0.2500)  1 Cr 2.07, 2 Y 2.19, 2 Li 2.24
O (0.7934, 0.7933, 0.5000)  1 Cr 2.07, 2 Y 2.19, 2 Li 2.24
O (0.7934, 0.7933, 0.7500)  1 Cr 2.07, 2 Y 2.19, 2 Li 2.24
O (0.7722, 0.2567, 0.1909)  1 Cr 2.10, 2 Li 2.17-2.22, 1 Y 2.28
O (0.7722, 0.2568, 0.4408)  1 Cr 2.10, 2 Li 2.17-2.22, 1 Y 2.28
O (0.7722, 0.2568, 0.6908)  1 Cr 2.10, 2 Li 2.17-2.22, 1 Y 2.28
O (0.7722, 0.2568, 0.9408)  1 Cr 2.10, 2 Li 2.17-2.22, 1 Y 2.28
O (0.2278, 0.7433, 0.1909)  1 Cr 2.10, 2 Li 2.17-2.22, 1 Y 2.28
O (0.2278, 0.7432, 0.4408)  1 Cr 2.10, 2 Li 2.17-2.22, 1 Y 2.28
O (0.2278, 0.7432, 0.6908)  1 Cr 2.10, 2 Li 2.17-2.22, 1 Y 2.28
O (0.2278, 0.7432, 0.9408)  1 Cr 2.10, 2 Li 2.17-2.22, 1 Y 2.28
O (0.2568, 0.7722, 0.0592)  1 Cr 2.10, 2 Li 2.17-2.22, 1 Y 2.28
O (0.2568, 0.7722, 0.3092)  1 Cr 2.10, 2 Li 2.17-2.22, 1 Y 2.28
O (0.2567, 0.7722, 0.5591)  1 Cr 2.10, 2 Li 2.17-2.22, 1 Y 2.28
O (0.2568, 0.7722, 0.8092)  1 Cr 2.10, 2 Li 2.17-2.22, 1 Y 2.28
O (0.7432, 0.2278, 0.0592)  1 Cr 2.10, 2 Li 2.17-2.22, 1 Y 2.28
O (0.7432, 0.2278, 0.3092)  1 Cr 2.10, 2 Li 2.17-2.22, 1 Y 2.28
O (0.7433, 0.2278, 0.5591)  1 Cr 2.10, 2 Li 2.17-2.22, 1 Y 2.28
O (0.7432, 0.2278, 0.8092)  1 Cr 2.10, 2 Li 2.17-2.22, 1 Y 2.28

Output
**Total energy**: -466.63 eV/cell

Computed, not measured: an optimized crystal structure of V3O5F at the PBE+U level of DFT.

a b c (Å): 4.6560 4.6560 8.9858
angles (deg): 89.82 89.82 87.45
With the nearest neighbours (Å) after each atom.
Positions (direct):
V (0.9905, 0.9905, 0.8489)  5 O 1.87-2.02
V (0.0095, 0.0095, 0.1511)  5 O 1.87-2.02
V (0.0000, 0.0000, 0.5000)  4 O 1.98-2.02, 2 F 2.05
V (0.5000, 0.5000, 0.0000)  6 O 1.96-1.98
V (0.5399, 0.5399, 0.6672)  5 O 1.79-1.97
V (0.4601, 0.4601, 0.3328)  5 O 1.79-1.97
O (0.7945, 0.7945, 0.9976)  3 V 1.87-2.00
O (0.8061, 0.8061, 0.6718)  1 V 1.79
O (0.6994, 0.3076, 0.8335)  3 V 1.96-1.97
O (0.6924, 0.3006, 0.1665)  3 V 1.96-1.97
O (0.6923, 0.3077, 0.5000)  3 V 1.97-1.98
O (0.3076, 0.6994, 0.8335)  3 V 1.96-1.97
O (0.3006, 0.6924, 0.1665)  3 V 1.96-1.97
O (0.3077, 0.6923, 0.5000)  3 V 1.97-1.98
O (0.2055, 0.2055, 0.0024)  3 V 1.87-2.00
O (0.1939, 0.1939, 0.3282)  1 V 1.79
F (0.8013, 0.8013, 0.3277)  2 V 2.05-2.11
F (0.1987, 0.1987, 0.6723)  2 V 2.05-2.11

Output
**Energy relative to the lowest polymorph listed for this composition**: 19 meV per atom
**Space group**: C2/m, No. 12

no.,magnetization (μB per formula unit)
1,19.00
2,0.00
3,7.39
4,6.00
5,0.00
6,4.00